(1)
Here is a relaxed Ag2O crystal from the Materials Project database. Energies are from PBE.

a = 4.2391 Å, b = 5.1735 Å, c = 8.5255 Å
α = 79.10°, β = 78.29°, γ = 67.67°
Closest atoms and distances in Å follow each position.
Fractional coordinates of all 9 atoms:
1 Ag 0.0000 0.0000 0.0000  2 O 2.17
2 Ag 0.1137 0.0594 0.6493  1 O 2.19
3 Ag 0.2592 0.0743 0.3046  2 O 2.20
4 Ag 0.5029 0.4122 0.5183  2 O 2.08-2.09
5 Ag 0.6247 0.5586 0.1461  2 O 2.09-2.12
6 Ag 0.8067 0.5662 0.7793  2 O 2.17
7 O 0.3095 0.6066 0.7271  4 Ag 2.08-2.19
8 O 0.5474 0.9187 0.9765  3 Ag 2.09-2.17
9 O 0.6998 0.1925 0.3164  4 Ag 2.09-2.20

Summary:
E_form	-0.6	eV/f.u.
energy	-3.523	eV per atom

(2)
Here is a relaxed Ca2CdPt2 crystal from the Materials Project database. Energies are from PBE.

a = 5.6870 Å, b = 5.6870 Å, c = 5.6870 Å
α = 133.34°, β = 117.61°, γ = 81.38°
Closest atoms and distances in Å follow each position.
Fractional coordinates of all 5 atoms:
1 Ca 0.2006 0.2006 0.0000  6 Pt 3.04-3.14
2 Ca 0.7994 0.7994 0.0000  6 Pt 3.04-3.14
3 Cd 0.5000 0.0000 0.5000  4 Pt 2.77
4 Pt 0.2267 0.5000 0.7267  1 Pt 2.67, 2 Cd 2.77
5 Pt 0.7733 0.5000 0.2733  1 Pt 2.67, 2 Cd 2.77

Summary:
E_form	-4.1	eV/f.u.
energy	-4.237	eV per atom

(3)
Here is a relaxed BMoW crystal from the Materials Project database. Energies are from PBE.

a = 5.5777 Å, b = 4.6210 Å, c = 4.6002 Å
α = 74.44°, β = 52.95°, γ = 52.61°
Closest atoms and distances in Å follow each position.
Fractional coordinates of all 6 atoms:
1 B 0.2500 0.2500 0.2500  2 B 2.39, 4 W 2.39, 4 Mo 2.40
2 B 0.7500 0.7500 0.7500  2 B 2.39, 4 W 2.39, 4 Mo 2.40
3 Mo 0.1694 0.8306 0.1694  4 B 2.40, 1 Mo 2.66
4 Mo 0.8306 0.1694 0.8306  4 B 2.40, 1 Mo 2.66
5 W 0.3313 0.3313 0.6687  4 B 2.39, 1 W 2.67
6 W 0.6687 0.6687 0.3313  4 B 2.39, 1 W 2.67

Summary:
E_form	-0.9	eV/f.u.
energy	-10.455	eV per atom

(4)
Here is a relaxed FeTe crystal from the Materials Project database. Energies are from PBE.

a = 4.1045 Å, b = 4.1045 Å, c = 5.0812 Å
α = 90.00°, β = 90.00°, γ = 120.00°
Closest atoms and distances in Å follow each position.
Fractional coordinates of all 4 atoms:
1 Fe 0.0000 0.0000 0.0000  2 Fe 2.54, 6 Te 2.69
2 Fe 0.0000 0.0000 0.5000  2 Fe 2.54, 6 Te 2.69
3 Te 0.3333 0.6667 0.2500  6 Fe 2.69
4 Te 0.6667 0.3333 0.7500  6 Fe 2.69

Summary:
E_form	-0.3	eV/f.u.
energy	-5.758	eV per atom

Please write out number 3 again, unchanged.
Here is a relaxed BMoW crystal from the Materials Project database. Energies are from PBE.

a = 5.5777 Å, b = 4.6210 Å, c = 4.6002 Å
α = 74.44°, β = 52.95°, γ = 52.61°
Closest atoms and distances in Å follow each position.
Fractional coordinates of all 6 atoms:
1 B 0.2500 0.2500 0.2500  2 B 2.39, 4 W 2.39, 4 Mo 2.40
2 B 0.7500 0.7500 0.7500  2 B 2.39, 4 W 2.39, 4 Mo 2.40
3 Mo 0.1694 0.8306 0.1694  4 B 2.40, 1 Mo 2.66
4 Mo 0.8306 0.1694 0.8306  4 B 2.40, 1 Mo 2.66
5 W 0.3313 0.3313 0.6687  4 B 2.39, 1 W 2.67
6 W 0.6687 0.6687 0.3313  4 B 2.39, 1 W 2.67

Summary:
E_form	-0.9	eV/f.u.
energy	-10.455	eV per atom

Among the records above, which one has the highest E_form? FeTe